Record 1
# Hf3Ni20B6

A relaxed structure of Hf3Ni20B6 (GGA-PBE, Materials Project).

Lattice parameters (Å, degrees): 10.6537 10.6537 10.6537 90.00 90.00 90.00
Space group Fm-3m (No. 225)
Symmetry-distinct sites (fractional):
Hf1 0.0000 0.0000 0.0000 (multiplicity 4)
Hf2 0.2500 0.2500 0.2500 (multiplicity 8)
Ni1 0.0000 0.1720 0.1720 (multiplicity 48)
Ni2 0.1141 0.1141 0.3859 (multiplicity 32)
B1 0.0000 0.0000 0.2665 (multiplicity 24)

Computed properties:
As for the crystal system: cubic. The value obtained for the total energy is -6.85 eV/atom. Its formation energy is -0.454 eV per atom. The value obtained for the calculated volume is 1209.20 Å³ per cell.

---

Record 2
# HfB2O5

A relaxed structure of HfB2O5 (GGA-PBE, Materials Project).

Lattice parameters (Å, degrees): 4.4116 6.9485 9.0294 90.00 90.68 90.00
Space group P2_1/c (No. 14)
Symmetry-distinct sites (fractional):
Hf1 0.0009 0.1119 0.1704 (multiplicity 4)
B1 0.4648 0.0869 0.6666 (multiplicity 4)
B2 0.4726 0.7291 0.5765 (multiplicity 4)
O1 0.2124 0.5901 0.8201 (multiplicity 4)
O2 0.2305 0.5970 0.5318 (multiplicity 4)
O3 0.3044 0.1550 0.8081 (multiplicity 4)
O4 0.3293 0.6049 0.1509 (multiplicity 4)
O5 0.3472 0.2220 0.5549 (multiplicity 4)

Computed properties:
The value obtained for the MP2020-corrected energy is -9.264 eV/atom. As for the crystal system: monoclinic. The value obtained for the total energy is -8.83 eV/atom. Its formation energy is -3.257 eV per atom. The value obtained for the calculated volume is 276.77 Å³ per cell.

---

Record 3
# HfBO3

A relaxed structure of HfBO3 (GGA-PBE, Materials Project).

Lattice parameters (Å, degrees): 3.4251 3.4251 3.4251 90.00 90.00 90.00
Space group Pm-3m (No. 221)
Symmetry-distinct sites (fractional):
Hf1 0.0000 0.0000 0.0000 (multiplicity 1)
B1 0.5000 0.5000 0.5000 (multiplicity 1)
O1 0.0000 0.5000 0.5000 (multiplicity 3)

Computed properties:
The value obtained for the MP2020-corrected energy is -8.318 eV/atom. As for the crystal system: cubic. The value obtained for the total energy is -7.91 eV/atom. Its formation energy is -2.022 eV per atom. The value obtained for the calculated volume is 40.18 Å³ per cell.

---

Record 4
# Hf9BOs4

A relaxed structure of Hf9BOs4 (GGA-PBE, Materials Project).

Lattice parameters (Å, degrees): 8.3708 8.3708 8.5885 90.00 90.00 120.00
Space group P6_3/mmc (No. 194)
Symmetry-distinct sites (fractional):
Hf1 0.0840 0.5420 0.2500 (multiplicity 6)
Hf2 0.1992 0.3983 0.5600 (multiplicity 12)
B1 0.3333 0.6667 0.7500 (multiplicity 2)
Os1 0.0000 0.0000 0.0000 (multiplicity 2)
Os2 0.1139 0.2278 0.2500 (multiplicity 6)

Computed properties:
As for the crystal system: hexagonal. The value obtained for the total energy is -10.50 eV/atom. Its formation energy is -0.410 eV per atom. The value obtained for the calculated volume is 521.17 Å³ per cell.

---

Record 5
# HfTaB2

A relaxed structure of HfTaB2 (GGA-PBE, Materials Project).

Lattice parameters (Å, degrees): 3.1671 3.3868 9.0716 90.00 90.00 90.00
Space group Amm2 (No. 38)
Symmetry-distinct sites (fractional):
Hf1 0.0000 0.0000 0.0000 (multiplicity 2)
Ta1 0.5000 0.0000 0.2875 (multiplicity 2)
B1 0.0000 0.0000 0.7056 (multiplicity 2)
B2 0.5000 0.0000 0.5971 (multiplicity 2)

Computed properties:
As for the crystal system: orthorhombic. The value obtained for the total energy is -9.57 eV/atom. Its formation energy is -0.774 eV per atom. The value obtained for the calculated volume is 97.31 Å³ per cell.

---

Record 6
# HfTa5B4

A relaxed structure of HfTa5B4 (GGA-PBE, Materials Project).

Lattice parameters (Å, degrees): 6.2612 6.2612 3.3148 90.00 90.00 90.00
Space group P4/m (No. 83)
Symmetry-distinct sites (fractional):
Hf1 0.0000 0.0000 0.0000 (multiplicity 1)
Ta1 0.1788 0.3271 0.5000 (multiplicity 4)
Ta2 0.5000 0.5000 0.0000 (multiplicity 1)
B1 0.1069 0.6051 0.0000 (multiplicity 4)

Computed properties:
As for the crystal system: tetragonal. The value obtained for the total energy is -10.20 eV/atom. Its formation energy is -0.600 eV per atom. The value obtained for the calculated volume is 129.95 Å³ per cell.